VASP calculation (GGA+U) on crystalline Fe5O7F3 at its relaxed geometry.

a = 4.6780 Å, b = 4.6780 Å, c = 15.2100 Å
α = 89.92°, β = 89.92°, γ = 91.56°
Positions (direct):
Fe  0.0040  0.0061  0.2009
Fe  0.5231  0.4750  0.9012
Fe  0.9898  0.0102  0.0000
Fe  0.4797  0.5405  0.2935
Fe  0.4595  0.5203  0.7065
Fe  0.0313  0.0176  0.5940
Fe  0.9824  0.9687  0.4060
Fe  0.5250  0.4769  0.0988
Fe  0.9939  0.9960  0.7991
Fe  0.5059  0.4941  0.5000
O  0.3195  0.2956  0.9999
O  0.1818  0.8263  0.7010
O  0.8214  0.1842  0.1025
O  0.6764  0.6824  0.3999
O  0.1737  0.8182  0.2990
O  0.6916  0.6927  0.8020
O  0.7044  0.6805  0.0001
O  0.8039  0.1961  0.5000
O  0.7021  0.6987  0.1961
O  0.2026  0.7974  0.5000
O  0.3176  0.3236  0.6001
O  0.3013  0.2979  0.8039
O  0.8158  0.1786  0.8975
O  0.3073  0.3084  0.1980
F  0.7863  0.1981  0.3034
F  0.2081  0.7985  0.0984
F  0.6997  0.7115  0.6037
F  0.2885  0.3003  0.3963
F  0.8019  0.2137  0.6966
F  0.2015  0.7919  0.9016

Output
relative energy among the computed polymorphs	0.0241	eV/atom
symmetry	No. 5
crystal system	monoclinic

VASP calculation (GGA+U) on crystalline V3CuO8 at its relaxed geometry.

a = 8.2738 Å, b = 8.2738 Å, c = 8.2738 Å
α = 90.00°, β = 90.00°, γ = 90.00°
Positions (direct):
V  0.6325  0.3900  0.3756
V  0.8675  0.6100  0.8756
V  0.6100  0.8756  0.8675
V  0.1244  0.3675  0.8900
V  0.8756  0.8675  0.6100
V  0.3675  0.8900  0.1244
V  0.3900  0.3756  0.6325
V  0.1100  0.6244  0.1325
V  0.8900  0.1244  0.3675
V  0.3756  0.6325  0.3900
V  0.6244  0.1325  0.1100
V  0.1325  0.1100  0.6244
O  0.3521  0.1431  0.6160
O  0.1318  0.3928  0.1008
O  0.6318  0.1072  0.8992
O  0.8840  0.6479  0.6431
O  0.8909  0.1091  0.6091
O  0.6160  0.3521  0.1431
O  0.3909  0.3909  0.3909
O  0.3617  0.6383  0.1383
O  0.6008  0.3682  0.6072
O  0.3840  0.8521  0.3569
O  0.8682  0.8928  0.3992
O  0.1091  0.6091  0.8909
O  0.3569  0.3840  0.8521
O  0.1431  0.6160  0.3521
O  0.1383  0.3617  0.6383
O  0.1479  0.8569  0.1160
O  0.3992  0.8682  0.8928
O  0.3682  0.6072  0.6008
O  0.8521  0.3569  0.3840
O  0.6091  0.8909  0.1091
O  0.8569  0.1160  0.1479
O  0.1160  0.1479  0.8569
O  0.6479  0.6431  0.8840
O  0.3928  0.1008  0.1318
O  0.1008  0.1318  0.3928
O  0.8928  0.3992  0.8682
O  0.6431  0.8840  0.6479
O  0.8617  0.8617  0.8617
O  0.6072  0.6008  0.3682
O  0.8992  0.6318  0.1072
O  0.6383  0.1383  0.3617
O  0.1072  0.8992  0.6318
Cu  0.0018  0.4982  0.5018
Cu  0.5018  0.0018  0.4982
Cu  0.4982  0.5018  0.0018
Cu  0.9982  0.9982  0.9982

Output
relative energy among the computed polymorphs	0.0245	eV/atom
symmetry	No. 198
crystal system	cubic

VASP calculation (GGA+U) on crystalline LiVPH2O5 at its relaxed geometry.

a = 5.2171 Å, b = 10.6109 Å, c = 16.4762 Å
α = 90.00°, β = 90.00°, γ = 90.00°
Positions (direct):
O  0.1284  0.8839  0.1521
O  0.6976  0.6903  0.9038
O  0.4225  0.7164  0.2095
O  0.9884  0.0455  0.8222
O  0.5113  0.3052  0.4308
O  0.0116  0.5455  0.1778
O  0.0113  0.8545  0.9583
O  0.8716  0.8839  0.6521
O  0.9884  0.5455  0.6778
O  0.3024  0.1903  0.0962
O  0.5113  0.8052  0.0692
O  0.4887  0.8052  0.5692
O  0.0113  0.3545  0.5417
O  0.0810  0.7664  0.8176
O  0.5390  0.0185  0.4310
O  0.1601  0.6262  0.9337
O  0.9887  0.3545  0.0417
O  0.3024  0.6903  0.4038
O  0.5775  0.2164  0.7905
O  0.5775  0.7164  0.7095
O  0.1601  0.1262  0.5663
O  0.5390  0.5185  0.0690
O  0.4225  0.2164  0.2905
O  0.9190  0.2664  0.1824
O  0.5897  0.9436  0.1874
O  0.4103  0.4436  0.8126
O  0.8399  0.1262  0.0663
O  0.1284  0.3839  0.3479
O  0.4610  0.0185  0.9310
O  0.0810  0.2664  0.6824
O  0.4887  0.3052  0.9308
O  0.8399  0.6262  0.4337
O  0.6976  0.1903  0.5962
O  0.4610  0.5185  0.5690
O  0.8716  0.3839  0.8479
O  0.9190  0.7664  0.3176
O  0.0116  0.0455  0.3222
O  0.9887  0.8545  0.4583
O  0.4103  0.9436  0.6874
O  0.5897  0.4436  0.3126
Li  0.5264  0.1673  0.0009
Li  0.5264  0.6673  0.4991
Li  0.4736  0.1673  0.5009
Li  0.0832  0.9064  0.7482
Li  0.4736  0.6673  0.9991
Li  0.9168  0.9064  0.2482
Li  0.0832  0.4064  0.7518
Li  0.9168  0.4064  0.2518
P  0.4056  0.8350  0.1560
P  0.9770  0.2368  0.5957
P  0.5944  0.8350  0.6560
P  0.5944  0.3350  0.8440
P  0.9770  0.7368  0.9043
P  0.0230  0.7368  0.4043
P  0.0230  0.2368  0.0957
P  0.4056  0.3350  0.3440
H  0.3792  0.0542  0.8824
H  0.9207  0.0024  0.8705
H  0.3792  0.5542  0.6176
H  0.9207  0.5024  0.6295
H  0.0793  0.5024  0.1295
H  0.0793  0.0024  0.3705
H  0.8599  0.1113  0.8083
H  0.3454  0.9496  0.9475
H  0.3454  0.4496  0.5525
H  0.6546  0.4496  0.0525
H  0.6208  0.0542  0.3824
H  0.1401  0.6113  0.1917
H  0.6546  0.9496  0.4475
H  0.6208  0.5542  0.1176
H  0.1401  0.1113  0.3083
H  0.8599  0.6113  0.6917
V  0.4087  0.6495  0.8176
V  0.1608  0.4214  0.9336
V  0.5913  0.1495  0.1824
V  0.5913  0.6495  0.3176
V  0.1608  0.9214  0.5664
V  0.8392  0.9214  0.0664
V  0.4087  0.1495  0.6824
V  0.8392  0.4214  0.4336

Output
symmetry	No. 29
crystal system	orthorhombic

VASP calculation (GGA+U) on crystalline Li4V3OF11 at its relaxed geometry.

a = 5.2498 Å, b = 5.4803 Å, c = 16.1487 Å
α = 80.84°, β = 89.61°, γ = 88.13°
Positions (direct):
F  0.5835  0.4669  0.1175
F  0.4032  0.2141  0.5522
F  0.6936  0.1568  0.2969
F  0.4125  0.8657  0.2148
F  0.0784  0.3812  0.2137
F  0.3769  0.4998  0.8802
F  0.8182  0.6598  0.3100
F  0.1858  0.0161  0.3542
F  0.3107  0.1855  0.0254
F  0.8824  0.6735  0.7920
F  0.3097  0.5159  0.3661
F  0.5856  0.7961  0.4489
F  0.3306  0.8378  0.7068
F  0.1701  0.3045  0.7092
F  0.0876  0.7024  0.5421
F  0.6275  0.1481  0.7847
F  0.6458  0.4904  0.6555
F  0.6996  0.8096  0.9590
F  0.9006  0.2805  0.4481
F  0.8210  0.0015  0.6348
F  0.1275  0.0452  0.8826
F  0.9198  0.9395  0.1179
V  0.4935  0.1611  0.6666
V  0.5001  0.8376  0.3300
V  0.4969  0.4972  0.0013
V  0.9950  0.0041  0.0003
V  0.0022  0.6534  0.6668
V  0.9994  0.3373  0.3332
Li  0.9773  0.0327  0.7776
Li  0.5440  0.5709  0.7742
Li  0.3310  0.5316  0.4882
Li  0.2393  0.6622  0.1509
Li  0.4878  0.1129  0.8979
Li  0.8392  0.9594  0.5051
Li  0.7810  0.1935  0.1764
Li  0.0114  0.5553  0.9027
O  0.7779  0.3083  0.9723
O  0.2207  0.6913  0.0144

Output
relative energy among the computed polymorphs	0.0363	eV/atom
symmetry	No. 1
crystal system	triclinic

VASP calculation (GGA+U) on crystalline V2Bi8O17 at its relaxed geometry.

a = 4.1863 Å, b = 4.1863 Å, c = 32.1773 Å
α = 85.76°, β = 85.76°, γ = 52.71°
Positions (direct):
V  0.3095  0.3095  0.7863
V  0.7049  0.7049  0.6095
Bi  0.5929  0.5929  0.1936
Bi  0.7554  0.7554  0.8747
Bi  0.3640  0.3640  0.0911
Bi  0.5378  0.5378  0.5227
Bi  0.0051  0.0051  0.9747
Bi  0.1436  0.1436  0.6985
Bi  0.1938  0.1938  0.4097
Bi  0.9474  0.9474  0.3088
O  0.7994  0.7994  0.5557
O  0.8706  0.8706  0.4076
O  0.5453  0.5453  0.2742
O  0.0149  0.0149  0.9060
O  0.4923  0.4923  0.5965
O  0.1824  0.1824  0.6227
O  0.7694  0.7694  0.6680
O  0.0972  0.0972  0.7741
O  0.6069  0.6069  0.1246
O  0.1551  0.1551  0.4906
O  0.9599  0.9599  0.0561
O  0.3748  0.3748  0.8437
O  0.7868  0.7868  0.8001
O  0.1951  0.1951  0.3414
O  0.4046  0.4046  0.7317
O  0.2682  0.2682  0.1926
O  0.6814  0.6814  0.9722

Output
relative energy among the computed polymorphs	0.0757	eV/atom
symmetry	No. 8
crystal system	monoclinic

Number 1: DFT formation energy -1.73 eV per atom. Number 2: DFT formation energy -2.04 eV per atom. Number 3: DFT formation energy -2.16 eV per atom. Number 4: DFT formation energy -3.09 eV per atom. Number 5: DFT formation energy -1.69 eV per atom.